No. 1
Li4MnFe5O12 | PBE with a Hubbard U | optimized geometry

Results
Final energy in eV per atom: -6.0797
Energy relative to the lowest polymorph listed for this composition in kJ per mole of atoms: 11.19
E (MP2020) in eV for the cell shown: -309.89
DFT formation energy in eV/atom: -1.656
Total moment in μB per formula unit: 27.0

Geometry as CIF:
```
data_Li4MnFe5O12
_cell_length_a 4.929
_cell_length_b 8.386
_cell_length_c 10.058
_cell_angle_alpha 90.00
_cell_angle_beta 90.14
_cell_angle_gamma 90.00
_space_group_name_H-M_alt 'C 1 2/m 1'
_space_group_IT_number 12
_space_group_name_Hall '-C 2y'
loop_
_atom_site_label
_atom_site_type_symbol
_atom_site_fract_x
_atom_site_fract_y
_atom_site_fract_z
Li1 Li 0.099 0.246 0.250
Mn1 Mn 0.000 0.500 0.500
Fe1 Fe 0.000 0.000 0.000
Fe2 Fe 0.000 0.162 0.500
Fe3 Fe 0.000 0.338 0.000
O1 O 0.163 0.169 0.897
O2 O 0.164 0.330 0.604
O3 O 0.171 0.000 0.604
O4 O 0.171 0.500 0.898
```

=====

No. 2
Li2MnFe3O8 | PBE with a Hubbard U | optimized geometry

Results
Final energy in eV per atom: -6.3928
Energy relative to the lowest polymorph listed for this composition in kJ per mole of atoms: 0.00
E (MP2020) in eV for the cell shown: -413.72
DFT formation energy in eV/atom: -1.818
Total moment in μB per formula unit: 17.0

Geometry as CIF:
```
data_Li2MnFe3O8
_cell_length_a 8.420
_cell_length_b 8.420
_cell_length_c 8.420
_cell_angle_alpha 90.00
_cell_angle_beta 90.00
_cell_angle_gamma 90.00
_space_group_name_H-M_alt 'P 43 3 2'
_space_group_IT_number 212
_space_group_name_Hall 'P 4acd 2ab 3'
loop_
_atom_site_label
_atom_site_type_symbol
_atom_site_fract_x
_atom_site_fract_y
_atom_site_fract_z
Li1 Li 0.001 0.001 0.001
Mn1 Mn 0.125 0.875 0.375
Fe1 Fe 0.124 0.625 0.126
O1 O 0.105 0.386 0.116
O2 O 0.113 0.613 0.887
```

=====

No. 3
Li10Mn5Fe3O16 | PBE with a Hubbard U | optimized geometry

Results
Final energy in eV per atom: -6.2047
E (MP2020) in eV for the cell shown: -237.06
DFT formation energy in eV/atom: -1.988
Total moment in μB per formula unit: 37.0

Geometry as CIF:
```
data_Li10Mn5Fe3O16
_cell_length_a 5.968
_cell_length_b 6.030
_cell_length_c 10.022
_cell_angle_alpha 90.92
_cell_angle_beta 90.47
_cell_angle_gamma 118.88
_space_group_name_H-M_alt 'P 1'
_space_group_IT_number 1
_space_group_name_Hall 'P 1'
loop_
_atom_site_label
_atom_site_type_symbol
_atom_site_fract_x
_atom_site_fract_y
_atom_site_fract_z
Li1 Li 0.000 0.000 0.000
Li2 Li 0.003 0.982 0.495
Li3 Li 0.189 0.381 0.082
Li4 Li 0.197 0.798 0.074
Li5 Li 0.334 0.660 0.289
Li6 Li 0.387 0.172 0.580
Li7 Li 0.601 0.777 0.072
Li8 Li 0.671 0.327 0.791
Li9 Li 0.788 0.589 0.570
Li10 Li 0.802 0.173 0.579
Mn1 Mn 0.329 0.646 0.539
Mn2 Mn 0.665 0.320 0.042
Mn3 Mn 0.665 0.823 0.800
Mn4 Mn 0.828 0.153 0.302
Mn5 Mn 0.829 0.648 0.300
Fe1 Fe 0.168 0.821 0.801
Fe2 Fe 0.171 0.328 0.802
Fe3 Fe 0.333 0.153 0.302
O1 O 0.009 0.494 0.684
O2 O 0.010 0.019 0.186
O3 O 0.025 0.002 0.681
O4 O 0.150 0.296 0.412
O5 O 0.163 0.829 0.406
O6 O 0.311 0.646 0.925
O7 O 0.316 0.147 0.918
O8 O 0.494 0.966 0.688
O9 O 0.495 0.494 0.690
O10 O 0.500 0.473 0.192
O11 O 0.508 0.003 0.189
O12 O 0.650 0.286 0.421
O13 O 0.676 0.791 0.423
O14 O 0.833 0.147 0.911
O15 O 0.833 0.681 0.916
O16 O 0.987 0.504 0.180
```